# GeTe2Pd8

Crystalline GeTe2Pd8 at its relaxed geometry (PBE-GGA, Materials Project).

Cell: 7.6766 7.6766 43.5154 Å, 90.00 90.00 120.00°
Last column: nearest neighbours and their distance in Å.
Space group R3c (No. 161, hexagonal axes)
Inequivalent atoms, fractional coordinates:
Ge  0.0000  0.0000  0.0000 x6  8 Pd 2.55-2.59
Ge  0.0000  0.0000  0.1585 x6  7 Pd 2.50-2.66
Te  0.0000  0.0000  0.3427 x6  10 Pd 2.64-2.84
Te  0.0018  0.3187  0.2504 x18  10 Pd 2.70-2.93
Pd  0.0000  0.0000  0.0595 x6  1 Ge 2.59, 3 Te 2.81, 3 Pd 2.86
Pd  0.0000  0.0000  0.2160 x6  1 Ge 2.50
Pd  0.0000  0.0000  0.2820 x6  4 Te 2.64-2.80, 4 Pd 2.87-2.90
Pd  0.0000  0.0000  0.4407 x6  1 Ge 2.58, 3 Te 2.82
Pd  0.0006  0.3631  0.6507 x18  2 Ge 2.55-2.81, 1 Te 2.69, 2 Pd 2.80-2.84
Pd  0.0011  0.3677  0.8500 x18  2 Ge 2.55-2.66, 3 Pd 2.80-2.86, 1 Te 2.84
Pd  0.0041  0.2459  0.1168 x18  1 Ge 2.61, 2 Te 2.70-2.78, 2 Pd 2.84-2.89
Pd  0.0713  0.4014  0.0527 x18  3 Te 2.70-2.79, 6 Pd 2.86-3.02

Output
formation enthalpy at 0 K: -0.36 eV/atom
ρ: 10.6 Mg/m³
electronic total energy: -5.1152 eV/atom

---

# Ba6LiNb2IrCl2O12

Crystalline Ba6LiNb2IrCl2O12 at its relaxed geometry (PBE-GGA, Materials Project).

Cell: 11.0824 5.8886 15.0506 Å, 90.00 94.13 90.00°
Last column: nearest neighbours and their distance in Å.
Space group Cm (No. 8)
Inequivalent atoms, fractional coordinates:
Ba  0.0000  0.0000  0.0000 x2  3 O 2.52-2.58
Ba  0.0043  0.0000  0.7153 x2  9 O 2.82-3.16
Ba  0.2996  0.0000  0.5835 x2  7 O 2.79-2.96
Ba  0.3412  0.0000  0.8454 x2  5 O 2.64-2.87
Ba  0.3500  0.0000  0.2640 x2  1 O 2.41
Ba  0.4438  0.5000  0.4438 x2  5 O 2.47-2.75, 1 Li 2.69
Li  0.1573  0.0000  0.3694 x2  2 O 1.80
Nb  0.1487  0.5000  0.4565 x2  5 O 1.89-2.11
Nb  0.1538  0.5000  0.8271 x2  3 O 1.90-1.93
Ir  0.1512  0.5000  0.6371 x2  6 O 2.07-2.10
Cl  0.0168  0.0000  0.2319 x2  1 Li 2.50
Cl  0.3521  0.0000  0.0587 x2  2 Ba 3.09-3.20
O  0.0006  0.5000  0.7144 x2  1 Ir 2.10, 1 Nb 2.31
O  0.0647  0.2579  0.8782 x4  1 Nb 1.93
O  0.0895  0.2529  0.5452 x4  1 Ir 2.09, 1 Nb 2.11
O  0.2175  0.2642  0.7302 x4  1 Ir 2.07, 1 Nb 2.17
O  0.2374  0.2628  0.3915 x4  1 Li 1.80, 1 Nb 2.00
O  0.3047  0.5000  0.5646 x2  1 Ir 2.09, 1 Nb 2.29
O  0.3048  0.5000  0.8958 x2  1 Nb 1.90
O  0.4970  0.0000  0.3901 x2  1 Nb 1.89

Output
formation enthalpy at 0 K: -2.75 eV/atom
ρ: 5.0 Mg/m³
excess energy over the best structure of this formula in the dataset: 43 meV/atom
electronic total energy: -6.8049 eV/atom
energy with MP2020 corrections: -7.148 eV per atom

---

# SmTlP2Se6

Crystalline SmTlP2Se6 at its relaxed geometry (PBE-GGA, Materials Project).

Cell: 6.9120 7.7559 10.3551 Å, 90.00 91.00 90.00°
Last column: nearest neighbours and their distance in Å.
Space group P2_1 (No. 4)
Inequivalent atoms, fractional coordinates:
Sm  0.2135  0.0000  0.0024 x2  8 Se 3.06-3.19
Tl  0.3123  0.2186  0.5065 x2  6 Se 3.30-3.57
P  0.1919  0.7264  0.2982 x2  3 Se 2.16-2.26, 1 P 2.27
P  0.3116  0.5090  0.1771 x2  3 Se 2.20-2.24, 1 P 2.27
Se  0.0679  0.3081  0.8218 x2  1 P 2.26
Se  0.0765  0.3113  0.1746 x2  1 P 2.23
Se  0.1562  0.6347  0.4931 x2  1 P 2.16
Se  0.3636  0.6288  0.9835 x2  1 P 2.24
Se  0.4030  0.9335  0.2696 x2  1 P 2.19
Se  0.4115  0.9132  0.7431 x2  1 P 2.20

Output
formation enthalpy at 0 K: -0.93 eV/atom
ρ: 5.3 Mg/m³
electronic total energy: -4.5311 eV/atom
energy with MP2020 corrections: -4.814 eV per atom

---

# MgAg4O6

Crystalline MgAg4O6 at its relaxed geometry (PBE-GGA, Materials Project).

Cell: 4.0670 5.5792 7.0259 Å, 87.14 77.69 78.04°
Last column: nearest neighbours and their distance in Å.
Space group P1 (No. 1)
Inequivalent atoms, fractional coordinates:
Mg  0.0000  0.0000  0.0000 x1  5 O 2.00-2.22
Ag  0.2969  0.4479  0.6214 x1  4 O 2.03-2.10
Ag  0.3880  0.9807  0.3114 x1  4 O 2.04-2.14
Ag  0.5816  0.9072  0.7522 x1  4 O 2.04-2.17
Ag  0.7887  0.5020  0.1482 x1  3 O 2.22-2.31
O  0.1300  0.1343  0.7182 x1  2 Ag 2.04-2.06, 1 Mg 2.08
O  0.1490  0.7533  0.1972 x1  1 Mg 2.00, 1 Ag 2.04
O  0.4843  0.1152  0.0179 x1  2 Mg 2.04-2.22, 2 Ag 2.14-2.17
O  0.5569  0.7174  0.5173 x1  3 Ag 2.03-2.12
O  0.6191  0.2507  0.3873 x1  3 Ag 2.07-2.22
O  0.9717  0.6654  0.8499 x1  3 Ag 2.07-2.28, 1 Mg 2.22

Output
formation enthalpy at 0 K: -0.69 eV/atom
ρ: 6.0 Mg/m³
excess energy over the best structure of this formula in the dataset: 150 meV/atom
electronic total energy: -4.1884 eV/atom
energy with MP2020 corrections: -4.563 eV per atom

---

# LiHoS2O8

Crystalline LiHoS2O8 at its relaxed geometry (PBE-GGA, Materials Project).

Cell: 7.5572 7.5572 5.8649 Å, 90.00 90.00 90.00°
Last column: nearest neighbours and their distance in Å.
Space group P-4n2 (No. 118)
Inequivalent atoms, fractional coordinates:
Li  0.0000  0.5000  0.2500 x2  4 O 1.87
Ho  0.0000  0.5000  0.7500 x2  8 O 2.39-2.41
S  0.2229  0.2771  0.2500 x4  4 O 1.48-1.52
O  0.0872  0.3169  0.0664 x8  1 S 1.52
O  0.0964  0.7914  0.6551 x8  1 S 1.48

Output
formation enthalpy at 0 K: -2.40 eV/atom
ρ: 3.6 Mg/m³
electronic total energy: -6.4697 eV/atom
energy with MP2020 corrections: -6.928 eV per atom

---

# CsBS2

Crystalline CsBS2 at its relaxed geometry (PBE-GGA, Materials Project).

Cell: 4.7841 6.2746 17.9919 Å, 90.00 90.00 90.00°
Last column: nearest neighbours and their distance in Å.
Space group Immm (No. 71)
Inequivalent atoms, fractional coordinates:
Cs  0.0000  0.0000  0.1416 x4  5 S 3.50-3.89
B  0.0000  0.0000  0.4329 x4  3 S 1.74-1.87
S  0.0000  0.0000  0.3362 x4  1 B 1.74
S  0.0000  0.2270  0.5000 x4  2 B 1.87

Output
formation enthalpy at 0 K: -1.10 eV/atom
ρ: 2.6 Mg/m³
electronic total energy: -4.8073 eV/atom
energy with MP2020 corrections: -5.059 eV per atom

---

# Mg7Si4

Crystalline Mg7Si4 at its relaxed geometry (PBE-GGA, Materials Project).

Cell: 5.4085 6.1472 13.7157 Å, 80.13 81.83 80.50°
Last column: nearest neighbours and their distance in Å.
Space group P1 (No. 1)
Inequivalent atoms, fractional coordinates:
Mg  0.0000  0.0000  0.0000 x1  5 Si 2.76-3.01
Mg  0.0134  0.3319  0.3199 x1  4 Si 2.70-2.91, 1 Mg 3.01
Mg  0.0403  0.6265  0.5985 x1  4 Si 2.67-2.97
Mg  0.1535  0.4818  0.9425 x1  4 Si 2.74-2.98
Mg  0.2707  0.2548  0.7469 x1  3 Si 2.68-2.97
Mg  0.3205  0.8956  0.3939 x1  3 Si 2.73-2.89, 2 Mg 3.01
Mg  0.3837  0.3024  0.4778 x1  4 Si 2.73-2.82, 2 Mg 3.01-3.03
Mg  0.3987  0.1309  0.1420 x1  4 Si 2.88-3.08, 1 Mg 3.18
Mg  0.4850  0.8431  0.6341 x1  4 Si 2.81-2.89, 2 Mg 3.07-3.08
Mg  0.4999  0.5493  0.2530 x1  3 Si 2.80-3.13, 4 Mg 3.07-3.10
Mg  0.5948  0.6572  0.0247 x1  4 Si 2.77-2.85, 1 Mg 3.07
Mg  0.7247  0.4435  0.8146 x1  3 Si 2.73-2.83
Mg  0.8776  0.9013  0.2512 x1  3 Si 2.69-2.78
Mg  0.8949  0.9072  0.7883 x1  4 Si 2.78-2.87, 1 Mg 3.09
Si  0.1124  0.6105  0.1299 x1  1 Si 2.44, 1 Mg 2.69
Si  0.3910  0.8288  0.8418 x1  1 Si 2.46, 2 Mg 2.74
Si  0.5181  0.0982  0.9315 x1  1 Si 2.46, 1 Mg 2.73
Si  0.6669  0.3786  0.6204 x1  2 Si 2.45-2.54, 2 Mg 2.68
Si  0.7279  0.5923  0.4452 x1  2 Si 2.41-2.54, 1 Mg 2.70
Si  0.7921  0.9692  0.4492 x1  2 Si 2.41-2.54
Si  0.8724  0.3040  0.1349 x1  1 Si 2.44, 1 Mg 2.70
Si  0.9994  0.0694  0.5870 x1  2 Si 2.45-2.54, 1 Mg 2.67

Output
formation enthalpy at 0 K: 0.05 eV/atom
ρ: 2.1 Mg/m³
excess energy over the best structure of this formula in the dataset: 1 meV/atom
electronic total energy: -2.9665 eV/atom
energy with MP2020 corrections: -2.941 eV per atom

---

# LaBRh3

Crystalline LaBRh3 at its relaxed geometry (PBE-GGA, Materials Project).

Cell: 4.2903 4.2903 4.2903 Å, 90.00 90.00 90.00°
Last column: nearest neighbours and their distance in Å.
Space group Pm-3m (No. 221)
Inequivalent atoms, fractional coordinates:
La  0.0000  0.0000  0.0000 x1  12 Rh 3.03
B  0.5000  0.5000  0.5000 x1  6 Rh 2.15
Rh  0.0000  0.5000  0.5000 x3  2 B 2.15

Output
formation enthalpy at 0 K: -0.70 eV/atom
ρ: 9.6 Mg/m³
electronic total energy: -7.4395 eV/atom

---

# Ge3N4

Crystalline Ge3N4 at its relaxed geometry (PBE-GGA, Materials Project).

Cell: 8.2786 8.2786 5.9896 Å, 90.00 90.00 120.00°
Last column: nearest neighbours and their distance in Å.
Space group P31c (No. 159)
Inequivalent atoms, fractional coordinates:
Ge  0.0818  0.5100  0.0000 x6  4 N 1.85-1.86
Ge  0.0849  0.8316  0.2941 x6  4 N 1.84-1.86
N  0.0000  0.0000  0.2901 x2  3 Ge 1.85
N  0.0008  0.6808  0.0418 x6  3 Ge 1.84-1.86
N  0.0414  0.3842  0.2703 x6  3 Ge 1.85-1.86
N  0.3333  0.6667  0.9452 x2  3 Ge 1.85

Output
formation enthalpy at 0 K: -0.25 eV/atom
ρ: 5.1 Mg/m³
excess energy over the best structure of this formula in the dataset: 0 meV/atom
electronic total energy: -6.7865 eV/atom
energy with MP2020 corrections: -6.993 eV per atom

---

# Mg4As6Ir7

Crystalline Mg4As6Ir7 at its relaxed geometry (PBE-GGA, Materials Project).

Cell: 8.1876 8.1876 8.1876 Å, 90.00 90.00 90.00°
Last column: nearest neighbours and their distance in Å.
Space group Im-3m (No. 229)
Inequivalent atoms, fractional coordinates:
Mg  0.2500  0.2500  0.2500 x8  6 Ir 2.89, 6 As 2.94
As  0.0000  0.0000  0.3137 x12  5 Ir 2.55-2.57
Ir  0.0000  0.0000  0.0000 x2  6 As 2.57
Ir  0.0000  0.2500  0.5000 x12  4 As 2.55

Output
formation enthalpy at 0 K: -0.45 eV/atom
ρ: 11.4 Mg/m³
electronic total energy: -6.1116 eV/atom

---

# CsFe2S3

Crystalline CsFe2S3 at its relaxed geometry (PBE-GGA, Materials Project).

Cell: 9.4713 11.9638 5.1795 Å, 90.00 90.00 90.00°
Last column: nearest neighbours and their distance in Å.
Space group Cmcm (No. 63)
Inequivalent atoms, fractional coordinates:
Cs  0.0000  0.1736  0.2500 x4  10 S 3.56-3.98
Fe  0.1344  0.5000  0.0000 x8  4 S 2.12-2.18
S  0.0000  0.3987  0.7500 x4  4 Fe 2.18
S  0.2398  0.0991  0.7500 x8  2 Fe 2.12

Output
formation enthalpy at 0 K: -0.95 eV/atom
ρ: 3.9 Mg/m³
electronic total energy: -5.7422 eV/atom
energy with MP2020 corrections: -5.994 eV per atom

---

# Sr3ErRhO6

Crystalline Sr3ErRhO6 at its relaxed geometry (PBE-GGA, Materials Project).

Cell: 9.8659 9.8659 11.3845 Å, 90.00 90.00 120.00°
Last column: nearest neighbours and their distance in Å.
Space group R-3c (No. 167, hexagonal axes)
Inequivalent atoms, fractional coordinates:
Sr  0.0000  0.3687  0.2500 x18  8 O 2.53-2.76
Er  0.0000  0.0000  0.2500 x6  6 O 2.27
Rh  0.0000  0.0000  0.0000 x6  6 O 2.11
O  0.0217  0.1779  0.3858 x36  1 Rh 2.11, 1 Er 2.27

Output
formation enthalpy at 0 K: -2.94 eV/atom
ρ: 6.5 Mg/m³
electronic total energy: -6.8140 eV/atom
energy with MP2020 corrections: -7.189 eV per atom